Record 1
VASP calculation (PBE with a Hubbard U) on crystalline Sm2Mo4O15 at its relaxed geometry.

a = 9.528 Å, b = 11.142 Å, c = 11.700 Å
α = 104.52°, β = 109.21°, γ = 108.92°
Positions (direct):
Sm (0.166, 0.342, 0.203)
Sm (0.266, 0.775, 0.825)
Sm (0.285, 0.944, 0.410)
Sm (0.715, 0.056, 0.590)
Sm (0.734, 0.225, 0.175)
Sm (0.834, 0.658, 0.797)
Mo (0.023, 0.436, 0.867)
Mo (0.083, 0.222, 0.480)
Mo (0.234, 0.017, 0.080)
Mo (0.408, 0.465, 0.818)
Mo (0.416, 0.690, 0.551)
Mo (0.433, 0.131, 0.797)
Mo (0.567, 0.869, 0.203)
Mo (0.584, 0.310, 0.449)
Mo (0.592, 0.535, 0.182)
Mo (0.766, 0.983, 0.920)
Mo (0.917, 0.778, 0.520)
Mo (0.977, 0.564, 0.133)
O (0.026, 0.267, 0.339)
O (0.047, 0.574, 0.803)
O (0.085, 0.442, 0.042)
O (0.085, 0.838, 0.481)
O (0.116, 0.855, 0.932)
O (0.156, 0.095, 0.448)
O (0.165, 0.145, 0.059)
O (0.165, 0.714, 0.248)
O (0.175, 0.391, 0.838)
O (0.215, 0.981, 0.217)
O (0.253, 0.378, 0.620)
O (0.279, 0.693, 0.625)
O (0.281, 0.988, 0.799)
O (0.309, 0.538, 0.403)
O (0.352, 0.255, 0.779)
O (0.381, 0.791, 0.052)
O (0.386, 0.618, 0.833)
O (0.396, 0.303, 0.340)
O (0.408, 0.493, 0.198)
O (0.446, 0.081, 0.110)
O (0.466, 0.844, 0.513)
O (0.469, 0.068, 0.657)
O (0.500, 0.500, 0.000)
O (0.531, 0.932, 0.343)
O (0.534, 0.156, 0.487)
O (0.554, 0.919, 0.890)
O (0.592, 0.507, 0.802)
O (0.604, 0.697, 0.660)
O (0.614, 0.382, 0.167)
O (0.619, 0.209, 0.948)
O (0.648, 0.745, 0.221)
O (0.691, 0.462, 0.597)
O (0.719, 0.012, 0.201)
O (0.721, 0.307, 0.375)
O (0.747, 0.622, 0.380)
O (0.785, 0.019, 0.783)
O (0.825, 0.609, 0.162)
O (0.835, 0.286, 0.752)
O (0.835, 0.855, 0.941)
O (0.844, 0.905, 0.552)
O (0.884, 0.145, 0.068)
O (0.915, 0.162, 0.519)
O (0.915, 0.558, 0.958)
O (0.953, 0.426, 0.197)
O (0.974, 0.733, 0.661)

Values from the calculation:
Space group ... P-1
Energy of formation ... -2505 meV/atom
ρ ... 4.5 g/cm³
Electronic total energy ... -469.6 eV for the cell shown

***

Record 2
VASP calculation (PBE with a Hubbard U) on crystalline Sm4Mo4O11 at its relaxed geometry.

a = 11.094 Å, b = 16.472 Å, c = 6.078 Å
α = 90.00°, β = 90.00°, γ = 90.00°
Positions (direct):
Sm (0.079, 0.099, 0.000)
Sm (0.098, 0.237, 0.500)
Sm (0.114, 0.922, 0.500)
Sm (0.181, 0.775, 0.000)
Sm (0.319, 0.275, 0.000)
Sm (0.386, 0.422, 0.500)
Sm (0.402, 0.737, 0.500)
Sm (0.421, 0.599, 0.000)
Sm (0.579, 0.401, 0.000)
Sm (0.598, 0.263, 0.500)
Sm (0.614, 0.578, 0.500)
Sm (0.681, 0.725, 0.000)
Sm (0.819, 0.225, 0.000)
Sm (0.886, 0.078, 0.500)
Sm (0.902, 0.763, 0.500)
Sm (0.921, 0.901, 0.000)
Mo (0.092, 0.434, 0.500)
Mo (0.106, 0.423, 0.000)
Mo (0.141, 0.590, 0.253)
Mo (0.141, 0.590, 0.747)
Mo (0.359, 0.090, 0.253)
Mo (0.359, 0.090, 0.747)
Mo (0.394, 0.923, 0.000)
Mo (0.408, 0.934, 0.500)
Mo (0.592, 0.066, 0.500)
Mo (0.606, 0.077, 0.000)
Mo (0.641, 0.910, 0.253)
Mo (0.641, 0.910, 0.747)
Mo (0.859, 0.410, 0.253)
Mo (0.859, 0.410, 0.747)
Mo (0.894, 0.577, 0.000)
Mo (0.908, 0.566, 0.500)
O (0.000, 0.000, 0.253)
O (0.000, 0.000, 0.747)
O (0.038, 0.827, 0.250)
O (0.038, 0.827, 0.750)
O (0.045, 0.656, 0.500)
O (0.050, 0.655, 0.000)
O (0.192, 0.360, 0.264)
O (0.192, 0.360, 0.736)
O (0.223, 0.176, 0.237)
O (0.223, 0.176, 0.763)
O (0.230, 0.522, 0.000)
O (0.234, 0.522, 0.500)
O (0.266, 0.022, 0.500)
O (0.270, 0.022, 0.000)
O (0.277, 0.676, 0.237)
O (0.277, 0.676, 0.763)
O (0.308, 0.860, 0.264)
O (0.308, 0.860, 0.736)
O (0.450, 0.155, 0.000)
O (0.455, 0.156, 0.500)
O (0.462, 0.327, 0.250)
O (0.462, 0.327, 0.750)
O (0.500, 0.500, 0.253)
O (0.500, 0.500, 0.747)
O (0.538, 0.673, 0.250)
O (0.538, 0.673, 0.750)
O (0.545, 0.844, 0.500)
O (0.550, 0.845, 0.000)
O (0.692, 0.140, 0.264)
O (0.692, 0.140, 0.736)
O (0.723, 0.324, 0.237)
O (0.723, 0.324, 0.763)
O (0.730, 0.978, 0.000)
O (0.734, 0.978, 0.500)
O (0.766, 0.478, 0.500)
O (0.770, 0.478, 0.000)
O (0.777, 0.824, 0.237)
O (0.777, 0.824, 0.763)
O (0.808, 0.640, 0.264)
O (0.808, 0.640, 0.736)
O (0.950, 0.345, 0.000)
O (0.955, 0.344, 0.500)
O (0.962, 0.173, 0.250)
O (0.962, 0.173, 0.750)

Values from the calculation:
Space group ... Pbam
Energy of formation ... -2634 meV/atom
ρ ... 6.9 g/cm³
Magnetization ... 12.0 μB per formula unit
Electronic total energy ... -585.4 eV for the cell shown

***

Record 3
VASP calculation (PBE with a Hubbard U) on crystalline Sm2Mo8O45 at its relaxed geometry.

a = 9.319 Å, b = 10.388 Å, c = 10.798 Å
α = 85.87°, β = 68.54°, γ = 89.90°
Positions (direct):
Sm (0.138, 0.198, 0.209)
Sm (0.862, 0.802, 0.791)
Mo (0.135, 0.658, 0.464)
Mo (0.312, 0.744, 0.665)
Mo (0.320, 0.415, 0.594)
Mo (0.452, 0.446, 0.248)
Mo (0.548, 0.554, 0.752)
Mo (0.680, 0.585, 0.406)
Mo (0.688, 0.256, 0.335)
Mo (0.865, 0.342, 0.536)
O (0.000, 0.500, 0.500)
O (0.025, 0.262, 0.417)
O (0.047, 0.020, 0.592)
O (0.094, 0.486, 0.074)
O (0.120, 0.797, 0.763)
O (0.136, 0.122, 0.970)
O (0.141, 0.019, 0.477)
O (0.145, 0.722, 0.311)
O (0.148, 0.600, 0.048)
O (0.188, 0.552, 0.655)
O (0.198, 0.393, 0.057)
O (0.205, 0.279, 0.624)
O (0.258, 0.103, 0.863)
O (0.271, 0.007, 0.154)
O (0.288, 0.508, 0.407)
O (0.289, 0.761, 0.491)
O (0.333, 0.311, 0.235)
O (0.356, 0.643, 0.809)
O (0.389, 0.133, 0.864)
O (0.408, 0.396, 0.718)
O (0.430, 0.877, 0.643)
O (0.449, 0.552, 0.120)
O (0.497, 0.617, 0.565)
O (0.503, 0.383, 0.435)
O (0.551, 0.448, 0.880)
O (0.570, 0.123, 0.357)
O (0.592, 0.604, 0.282)
O (0.611, 0.867, 0.136)
O (0.644, 0.357, 0.191)
O (0.667, 0.689, 0.765)
O (0.711, 0.239, 0.509)
O (0.712, 0.492, 0.593)
O (0.729, 0.993, 0.846)
O (0.742, 0.897, 0.137)
O (0.795, 0.721, 0.376)
O (0.802, 0.607, 0.943)
O (0.812, 0.448, 0.345)
O (0.852, 0.400, 0.952)
O (0.855, 0.278, 0.689)
O (0.859, 0.981, 0.523)
O (0.864, 0.878, 0.030)
O (0.880, 0.203, 0.237)
O (0.906, 0.514, 0.926)
O (0.953, 0.980, 0.408)
O (0.975, 0.738, 0.583)

Values from the calculation:
Space group ... P-1
Energy of formation ... -907 meV/atom
ρ ... 3.1 g/cm³
Magnetization ... 5.9 μB per formula unit
Electronic total energy ... -343.1 eV for the cell shown

***

Record 4
VASP calculation (PBE with a Hubbard U) on crystalline Sm2Mo2O7 at its relaxed geometry.

a = 7.238 Å, b = 7.611 Å, c = 10.436 Å
α = 89.97°, β = 89.99°, γ = 89.99°
Positions (direct):
Sm (0.000, 0.000, 0.000)
Sm (0.000, 0.498, 0.007)
Sm (0.251, 0.243, 0.754)
Sm (0.251, 0.741, 0.254)
Sm (0.500, 0.487, 0.507)
Sm (0.500, 0.985, 0.500)
Sm (0.749, 0.244, 0.754)
Sm (0.752, 0.743, 0.254)
Mo (0.000, 0.479, 0.487)
Mo (0.248, 0.240, 0.256)
Mo (0.250, 0.744, 0.754)
Mo (0.499, 0.507, 0.987)
Mo (0.500, 0.006, 0.022)
Mo (0.749, 0.744, 0.755)
Mo (0.750, 0.242, 0.254)
Mo (0.999, 0.981, 0.522)
O (0.000, 0.219, 0.607)
O (0.000, 0.755, 0.876)
O (0.002, 0.255, 0.136)
O (0.003, 0.719, 0.405)
O (0.203, 0.508, 0.623)
O (0.204, 0.006, 0.382)
O (0.248, 0.478, 0.372)
O (0.249, 0.000, 0.133)
O (0.251, 0.504, 0.872)
O (0.251, 0.983, 0.633)
O (0.296, 0.981, 0.882)
O (0.297, 0.480, 0.123)
O (0.497, 0.197, 0.147)
O (0.499, 0.704, 0.866)
O (0.500, 0.266, 0.906)
O (0.500, 0.730, 0.635)
O (0.502, 0.231, 0.376)
O (0.503, 0.767, 0.106)
O (0.703, 0.477, 0.124)
O (0.703, 0.981, 0.883)
O (0.749, 0.505, 0.873)
O (0.749, 0.984, 0.634)
O (0.751, 0.005, 0.134)
O (0.751, 0.483, 0.373)
O (0.797, 0.003, 0.383)
O (0.797, 0.507, 0.624)
O (0.997, 0.280, 0.367)
O (0.999, 0.789, 0.646)

Values from the calculation:
Space group ... P1
Energy of formation ... -2519 meV/atom
ρ ... 7.0 g/cm³
Energy above the lowest structure with this stoichiometry ... 0.3632 eV per atom
Magnetization ... 3.0 μB per formula unit
Electronic total energy ... -329.0 eV for the cell shown